(1)
K2SnCl6 | PBE | optimized geometry

abc: 7.2398 7.2398 7.2398
angles: 60.00 60.00 60.00
Last column: nearest neighbours and their distance in Å.
Element x y z (fractional)
K  0.2500  0.2500  0.2500  12 Cl 3.62
K  0.7500  0.7500  0.7500  12 Cl 3.62
Sn  0.0000  0.0000  0.0000  6 Cl 2.47
Cl  0.7590  0.2410  0.2410  1 Sn 2.47
Cl  0.2410  0.7590  0.2410  1 Sn 2.47
Cl  0.7590  0.2410  0.7590  1 Sn 2.47
Cl  0.2410  0.7590  0.7590  1 Sn 2.47
Cl  0.2410  0.2410  0.7590  1 Sn 2.47
Cl  0.7590  0.7590  0.2410  1 Sn 2.47

As for the crystal system: cubic.

(2)
Mn3CoP4 | PBE | optimized geometry

abc: 3.1182 5.1560 5.8388
angles: 90.25 90.00 90.00
Last column: nearest neighbours and their distance in Å.
Element x y z (fractional)
Mn  0.7500  0.9964  0.8058  6 P 2.22-2.34
Mn  0.2500  0.5019  0.2928  6 P 2.27-2.40
Mn  0.2500  0.0007  0.2030  6 P 2.29-2.38
Co  0.7500  0.4976  0.6981  6 P 2.24-2.36
P  0.7500  0.3116  0.0659  5 Mn 2.22-2.38, 1 Co 2.36
P  0.7500  0.8149  0.4374  1 Co 2.24, 5 Mn 2.29-2.40
P  0.2500  0.6864  0.9259  2 Co 2.27, 4 Mn 2.29-2.35
P  0.2500  0.1905  0.5710  4 Mn 2.29-2.36, 2 Co 2.34

As for the crystal system: monoclinic.

(3)
CsLiMg14 | PBE | optimized geometry

abc: 6.5827 6.5827 10.8107
angles: 90.00 90.00 120.00
Last column: nearest neighbours and their distance in Å.
Element x y z (fractional)
Cs  0.1667  0.3333  0.6250  12 Mg 3.29-3.51
Li  0.1667  0.3333  0.1250  12 Mg 3.17-3.29
Mg  0.1653  0.8327  0.1250  10 Mg 3.12-3.34, 2 Li 3.29
Mg  0.1711  0.8355  0.6250  10 Mg 3.25-3.46, 2 Cs 3.29
Mg  0.6673  0.3347  0.1250  10 Mg 3.12-3.34, 2 Li 3.29
Mg  0.6645  0.3289  0.6250  10 Mg 3.25-3.46, 2 Cs 3.29
Mg  0.6673  0.8327  0.1250  10 Mg 3.12-3.34, 2 Li 3.29
Mg  0.6645  0.8355  0.6250  10 Mg 3.25-3.46, 2 Cs 3.29
Mg  0.3386  0.1614  0.3551  10 Mg 3.12-3.46, 1 Li 3.17
Mg  0.3386  0.1614  0.8949  10 Mg 3.12-3.46, 1 Li 3.17
Mg  0.3386  0.6772  0.3551  10 Mg 3.12-3.46, 1 Li 3.17
Mg  0.3386  0.6772  0.8949  10 Mg 3.12-3.46, 1 Li 3.17
Mg  0.8228  0.1614  0.3551  10 Mg 3.12-3.46, 1 Li 3.17
Mg  0.8228  0.1614  0.8949  10 Mg 3.12-3.46, 1 Li 3.17
Mg  0.8333  0.6667  0.3801  12 Mg 3.27-3.34
Mg  0.8333  0.6667  0.8699  12 Mg 3.27-3.34

As for the crystal system: hexagonal.

Number 1: energy relative to the elements -1857.0 meV/atom. Number 2: energy relative to the elements -607.6 meV/atom. Number 3: energy relative to the elements 178.4 meV/atom.